V4O7F5: relaxed, PBE+U.

a b c (Å): 5.1854 5.3515 7.4060
angles (deg): 92.77 90.24 90.56
Fractional coordinates of all 16 atoms:
F  0.7962  0.3097  0.0459
V  0.9699  0.9829  0.0029
F  0.2108  0.3097  0.5363
O  0.7166  0.7974  0.0346
O  0.4162  0.5047  0.2452
V  0.4668  0.4732  0.0237
F  0.2933  0.8087  0.5355
O  0.5870  0.4983  0.7405
O  0.9242  0.0026  0.7378
F  0.0958  0.0073  0.2533
O  0.7181  0.2157  0.4539
V  0.5347  0.4712  0.5194
O  0.2946  0.2176  0.9581
V  0.9713  0.9733  0.5132
O  0.7867  0.7172  0.4529
F  0.2178  0.7106  0.9467

Values from the calculation:
The offset from the most stable computed form comes out at 10.0 meV per atom. The corrected total energy (MP2020 scheme) comes out at -7.580 eV per atom. The crystal system is triclinic.

=====

V6O5F19: relaxed, PBE+U.

a b c (Å): 5.3286 5.5511 14.7222
angles (deg): 100.39 89.70 92.19
Fractional coordinates of all 30 atoms:
F  0.0724  0.0711  0.1155
F  0.2829  0.8660  0.3092
V  0.9661  0.7184  0.3374
F  0.2309  0.0165  0.6395
F  0.2748  0.5271  0.6427
F  0.0776  0.3554  0.7799
F  0.5957  0.1132  0.2167
V  0.5174  0.8881  0.6684
F  0.4062  0.5483  0.1148
F  0.4301  0.1983  0.4511
O  0.2055  0.7187  0.9778
F  0.2131  0.3506  0.3081
F  0.0905  0.6921  0.4463
F  0.5888  0.7637  0.5522
F  0.7247  0.7859  0.0268
V  0.5427  0.4666  0.0039
F  0.9267  0.6089  0.2179
O  0.7080  0.1344  0.6903
V  0.4868  0.1810  0.3318
F  0.2870  0.2027  0.9726
O  0.7736  0.3021  0.0218
V  0.0340  0.9554  0.9960
O  0.7924  0.6362  0.6917
O  0.7976  0.9628  0.3576
F  0.9170  0.2685  0.5527
F  0.7020  0.4818  0.3570
F  0.9029  0.9583  0.8854
F  0.5645  0.4755  0.8841
F  0.4169  0.8551  0.7806
V  0.9710  0.3972  0.6702

Values from the calculation:
The offset from the most stable computed form comes out at 6.2 meV per atom. The corrected total energy (MP2020 scheme) comes out at -6.588 eV per atom. The crystal system is triclinic.

=====

V3OF7: relaxed, PBE+U.

a b c (Å): 4.0274 9.9705 15.3596
angles (deg): 90.00 90.00 90.00
Fractional coordinates of all 44 atoms:
F  0.0099  0.1162  0.6342
F  0.9893  0.8862  0.5524
O  0.0052  0.7500  0.7072
O  0.5052  0.2500  0.7928
F  0.4890  0.7500  0.4632
V  0.4957  0.9266  0.1793
F  0.9893  0.6138  0.5524
F  0.0052  0.0346  0.8016
F  0.5052  0.5346  0.6984
V  0.0108  0.2500  0.5398
F  0.4893  0.1138  0.9476
F  0.4901  0.3838  0.1342
F  0.5107  0.8862  0.0524
V  0.5043  0.0734  0.8207
F  0.9901  0.6162  0.3658
F  0.0107  0.1138  0.4476
F  0.9890  0.2500  0.0368
V  0.4957  0.5734  0.1793
V  0.9957  0.4266  0.3207
F  0.9901  0.8838  0.3658
F  0.0052  0.4654  0.8016
V  0.9892  0.7500  0.4602
F  0.4901  0.1162  0.1342
V  0.4892  0.2500  0.0398
O  0.9948  0.2500  0.2928
F  0.4948  0.0346  0.3016
F  0.5099  0.6162  0.8658
F  0.9948  0.9654  0.1984
F  0.5099  0.8838  0.8658
F  0.5052  0.9654  0.6984
F  0.0099  0.3838  0.6342
F  0.5107  0.6138  0.0524
V  0.0043  0.9266  0.6793
F  0.5110  0.2500  0.5368
F  0.4893  0.3862  0.9476
V  0.5108  0.7500  0.9602
F  0.4948  0.4654  0.3016
F  0.9948  0.5346  0.1984
V  0.9957  0.0734  0.3207
V  0.5043  0.4266  0.8207
V  0.0043  0.5734  0.6793
F  0.0107  0.3862  0.4476
F  0.0110  0.7500  0.9632
O  0.4948  0.7500  0.2072

Values from the calculation:
The offset from the most stable computed form comes out at 7.2 meV per atom. The corrected total energy (MP2020 scheme) comes out at -7.161 eV per atom. The crystal system is orthorhombic.

=====

VOF2: relaxed, PBE+U.

a b c (Å): 5.3003 5.4223 7.3927
angles (deg): 92.51 89.99 89.99
Fractional coordinates of all 16 atoms:
O  0.4324  0.4993  0.7528
F  0.1910  0.6931  0.4610
F  0.8069  0.6950  0.9608
O  0.0677  0.0002  0.7470
V  0.9879  0.0001  0.4696
V  0.5122  0.5000  0.0304
F  0.3066  0.8049  0.0393
O  0.5675  0.5001  0.2530
F  0.1980  0.3039  0.0391
V  0.4878  0.4999  0.5303
V  0.0122  0.0000  0.9696
F  0.6912  0.8068  0.5393
F  0.3043  0.1938  0.4610
O  0.9320  0.0008  0.2470
F  0.8043  0.3062  0.5389
F  0.6979  0.1960  0.9609

Values from the calculation:
The corrected total energy (MP2020 scheme) comes out at -7.312 eV per atom. The crystal system is monoclinic.

=====

V2O3F: relaxed, PBE+U.

a b c (Å): 9.8919 9.8919 4.7043
angles (deg): 86.92 86.92 35.34
Fractional coordinates of all 24 atoms:
O  0.2000  0.7040  0.6952
O  0.0474  0.5481  0.3109
O  0.6718  0.6718  0.1868
F  0.4252  0.4252  0.2101
O  0.8000  0.2960  0.3048
F  0.1757  0.1757  0.1981
V  0.6353  0.1162  0.0153
V  0.2631  0.2631  0.5526
V  0.1162  0.6353  0.0153
O  0.0749  0.0749  0.7982
O  0.9251  0.9251  0.2018
O  0.2960  0.8000  0.3048
V  0.7369  0.7369  0.4474
V  0.0000  0.0000  0.5000
O  0.5481  0.0474  0.3109
V  0.8838  0.3647  0.9847
F  0.5748  0.5748  0.7899
O  0.9526  0.4519  0.6891
V  0.3647  0.8838  0.9847
O  0.3282  0.3282  0.8132
O  0.7040  0.2000  0.6952
O  0.4519  0.9526  0.6891
V  0.5000  0.5000  0.5000
F  0.8243  0.8243  0.8019

Values from the calculation:
The offset from the most stable computed form comes out at 44.4 meV per atom. The corrected total energy (MP2020 scheme) comes out at -8.446 eV per atom. The crystal system is monoclinic.

=====

V6O5F19: relaxed, PBE+U.

a b c (Å): 5.3020 5.4797 14.9103
angles (deg): 79.59 89.74 88.71
Fractional coordinates of all 30 atoms:
V  0.9687  0.2912  0.3371
F  0.2861  0.1293  0.3083
V  0.5402  0.5304  0.0035
F  0.0959  0.2972  0.4467
O  0.7774  0.6959  0.0218
F  0.5955  0.8850  0.2195
F  0.7863  0.3599  0.6931
F  0.5986  0.1991  0.5538
V  0.9928  0.6815  0.6675
O  0.7982  0.0458  0.3560
O  0.2027  0.2868  0.9779
V  0.0306  0.0425  0.9964
F  0.6990  0.8545  0.6901
F  0.0727  0.9336  0.1149
F  0.4194  0.1021  0.7810
F  0.2008  0.9841  0.6402
O  0.2221  0.6388  0.3110
F  0.4339  0.8048  0.4482
F  0.7116  0.5352  0.3589
V  0.4591  0.8040  0.3295
O  0.3001  0.4641  0.6445
F  0.7148  0.2038  0.0252
V  0.4778  0.2091  0.6639
F  0.4063  0.4481  0.1139
F  0.0932  0.6238  0.7823
F  0.9078  0.0366  0.8862
F  0.9279  0.3974  0.2184
F  0.9248  0.6932  0.5508
F  0.2876  0.7966  0.9743
F  0.5680  0.5254  0.8852

Values from the calculation:
The offset from the most stable computed form comes out at 15.2 meV per atom. The corrected total energy (MP2020 scheme) comes out at -6.579 eV per atom. The crystal system is triclinic.

=====

V3O4F2: relaxed, PBE+U.

a b c (Å): 4.7316 5.6231 7.7141
angles (deg): 84.84 87.13 86.21
Fractional coordinates of all 18 atoms:
O  0.3073  0.8026  0.3952
V  0.4530  0.1345  0.8185
V  0.0000  0.0000  0.5000
O  0.7017  0.5431  0.2651
F  0.1975  0.6301  0.0681
O  0.8023  0.0389  0.2680
V  0.5000  0.5000  0.5000
O  0.2983  0.4569  0.7349
F  0.8025  0.3699  0.9319
F  0.8046  0.6994  0.6035
O  0.6927  0.1974  0.6048
O  0.1977  0.9611  0.7320
V  0.0064  0.6697  0.8368
V  0.5470  0.8655  0.1815
F  0.1954  0.3006  0.3965
V  0.9936  0.3303  0.1632
O  0.3094  0.1298  0.0639
O  0.6906  0.8702  0.9361

Values from the calculation:
The offset from the most stable computed form comes out at 10.6 meV per atom. The corrected total energy (MP2020 scheme) comes out at -8.358 eV per atom. The crystal system is triclinic.

=====

V3O4F2: relaxed, PBE+U.

a b c (Å): 4.7206 4.7206 9.1412
angles (deg): 89.92 89.92 85.76
Fractional coordinates of all 18 atoms:
V  0.0032  0.0032  0.6733
V  0.0000  0.0000  0.0000
O  0.8033  0.8033  0.1637
F  0.8059  0.8059  0.5013
O  0.6919  0.2992  0.6698
O  0.1967  0.1967  0.8363
V  0.5441  0.5441  0.1655
V  0.9968  0.9968  0.3267
F  0.1941  0.1941  0.4987
O  0.2992  0.6919  0.6698
V  0.5000  0.5000  0.5000
F  0.7984  0.7984  0.8353
O  0.7008  0.3081  0.3302
F  0.2016  0.2016  0.1647
V  0.4559  0.4559  0.8345
O  0.6921  0.3079  0.0000
O  0.3079  0.6921  0.0000
O  0.3081  0.7008  0.3302

Values from the calculation:
The offset from the most stable computed form comes out at 11.0 meV per atom. The corrected total energy (MP2020 scheme) comes out at -8.358 eV per atom. The crystal system is monoclinic.

=====

V2O3F3: relaxed, PBE+U.

a b c (Å): 5.2827 9.2756 5.3033
angles (deg): 105.65 119.02 74.76
Fractional coordinates of all 16 atoms:
O  0.1686  0.1298  0.9088
F  0.4205  0.3764  0.1080
V  0.9828  0.9901  0.0032
V  0.7403  0.7367  0.2607
O  0.6661  0.6267  0.4108
F  0.3979  0.8951  0.2083
O  0.5561  0.6279  0.8584
V  0.4893  0.5017  0.5467
F  0.1261  0.6163  0.2953
O  0.3233  0.3790  0.5720
F  0.9668  0.8674  0.6317
O  0.8422  0.8752  0.0795
F  0.8598  0.3832  0.6630
V  0.2872  0.2272  0.7742
O  0.6152  0.1249  0.8116
F  0.0578  0.1423  0.3680

Values from the calculation:
The offset from the most stable computed form comes out at 11.3 meV per atom. The corrected total energy (MP2020 scheme) comes out at -7.488 eV per atom. The crystal system is triclinic.

=====

VOF2: relaxed, PBE+U.

a b c (Å): 5.1890 5.1881 13.3985
angles (deg): 89.83 90.56 119.65
Fractional coordinates of all 24 atoms:
V  0.3553  0.7112  0.1739
F  0.9902  0.3975  0.7434
F  0.0723  0.3455  0.0838
F  0.3985  0.9994  0.7490
V  0.6785  0.3099  0.8408
V  0.9682  0.9799  0.5061
V  0.3682  0.6586  0.6730
F  0.9821  0.5903  0.2447
O  0.7433  0.6504  0.4141
F  0.2684  0.3279  0.5804
V  0.6621  0.3547  0.3404
O  0.7490  0.0918  0.9161
F  0.3256  0.0641  0.4179
V  0.0239  0.0073  0.0072
F  0.3879  0.3979  0.2483
F  0.0843  0.7341  0.5830
O  0.6758  0.9120  0.5786
O  0.2428  0.9286  0.0812
F  0.3392  0.2800  0.9164
O  0.5738  0.9958  0.2492
F  0.9341  0.2560  0.4128
O  0.5802  0.5851  0.7492
F  0.9394  0.6846  0.9104
F  0.6569  0.7372  0.0801

Values from the calculation:
The corrected total energy (MP2020 scheme) comes out at -7.322 eV per atom. The crystal system is triclinic.

=====

V4O7F5: relaxed, PBE+U.

a b c (Å): 5.2400 5.3160 9.0775
angles (deg): 73.83 74.35 61.47
Fractional coordinates of all 16 atoms:
F  0.5690  0.1238  0.6255
O  0.6073  0.5780  0.6587
F  0.9104  0.9059  0.8474
O  0.1101  0.6452  0.5901
V  0.7450  0.7168  0.7426
F  0.9267  0.3183  0.4114
V  0.0507  0.0165  0.9833
O  0.4112  0.8369  0.9144
F  0.5800  0.1541  0.0979
O  0.9567  0.3595  0.8811
F  0.4703  0.8443  0.3780
O  0.4078  0.3894  0.3470
V  0.4532  0.5023  0.4915
O  0.0943  0.0782  0.1645
O  0.0560  0.6094  0.1259
V  0.2135  0.2837  0.2287

Values from the calculation:
The offset from the most stable computed form comes out at 0.0 meV per atom. The corrected total energy (MP2020 scheme) comes out at -7.590 eV per atom. The crystal system is triclinic.

=====

V2O3F: relaxed, PBE+U.

a b c (Å): 4.7653 5.7847 10.2325
angles (deg): 90.00 90.00 90.00
Fractional coordinates of all 24 atoms:
V  0.0561  0.5059  0.0254
O  0.7703  0.0002  0.3327
V  0.4607  0.2435  0.7676
O  0.3415  0.7482  0.4062
F  0.2267  0.9944  0.6673
O  0.7919  0.7518  0.0826
V  0.0393  0.2435  0.2676
O  0.2297  0.5002  0.6673
V  0.9439  0.0059  0.9746
O  0.6585  0.2482  0.5938
V  0.9607  0.7435  0.7324
F  0.7733  0.4944  0.3327
O  0.7297  0.0002  0.8327
O  0.1585  0.7482  0.9062
F  0.7267  0.4944  0.8327
F  0.2733  0.9944  0.1673
O  0.7081  0.7518  0.5826
O  0.2081  0.2518  0.9174
O  0.8415  0.2482  0.0938
V  0.4439  0.5059  0.5254
O  0.2919  0.2518  0.4174
V  0.5393  0.7435  0.2324
V  0.5561  0.0059  0.4746
O  0.2703  0.5002  0.1673

Values from the calculation:
The offset from the most stable computed form comes out at 36.2 meV per atom. The corrected total energy (MP2020 scheme) comes out at -8.455 eV per atom. The crystal system is orthorhombic.

=====

Number 1: uncorrected energy -0.493 Ry per atom, formation energy from the elements -2.55 eV/atom, calculated density 3.32 g cm⁻³. Number 2: uncorrected energy -0.429 Ry per atom, formation energy from the elements -2.73 eV/atom, calculated density 2.90 g cm⁻³. Number 3: uncorrected energy -0.466 Ry per atom, formation energy from the elements -3.02 eV/atom, calculated density 3.25 g cm⁻³. Number 4: uncorrected energy -0.477 Ry per atom, formation energy from the elements -2.85 eV/atom, calculated density 3.28 g cm⁻³. Number 5: uncorrected energy -0.548 Ry per atom, formation energy from the elements -2.63 eV/atom, calculated density 4.22 g cm⁻³. Number 6: uncorrected energy -0.429 Ry per atom, formation energy from the elements -2.72 eV/atom, calculated density 2.91 g cm⁻³. Number 7: uncorrected energy -0.543 Ry per atom, formation energy from the elements -2.71 eV/atom, calculated density 4.15 g cm⁻³. Number 8: uncorrected energy -0.543 Ry per atom, formation energy from the elements -2.71 eV/atom, calculated density 4.17 g cm⁻³. Number 9: uncorrected energy -0.487 Ry per atom, formation energy from the elements -2.64 eV/atom, calculated density 3.18 g cm⁻³. Number 10: uncorrected energy -0.477 Ry per atom, formation energy from the elements -2.86 eV/atom, calculated density 3.34 g cm⁻³. Number 11: uncorrected energy -0.494 Ry per atom, formation energy from the elements -2.56 eV/atom, calculated density 3.24 g cm⁻³. Number 12: uncorrected energy -0.549 Ry per atom, formation energy from the elements -2.63 eV/atom, calculated density 3.98 g cm⁻³.